Material: Al2CO
Method: DFT, GGA-PBE
State: optimized geometry

```
data_Al2CO
_cell_length_a 5.641
_cell_length_b 6.316
_cell_length_c 5.119
_cell_angle_alpha 90.00
_cell_angle_beta 90.00
_cell_angle_gamma 90.00
_symmetry_space_group_name_H-M 'P n a 21'
_symmetry_Int_Tables_number 33
_symmetry_space_group_name_Hall 'P 2c -2n'
loop_
_atom_site_label
_atom_site_fract_x
_atom_site_fract_y
_atom_site_fract_z
Al1 0.078 0.134 0.000
Al2 0.081 0.618 0.006
C1 0.100 0.624 0.384
O1 0.079 0.124 0.382
```

Properties
DFT total energy   -6.668 eV/atom
Energy relative to the elements   -1.423 eV per atom
V   182.39 Å³ per cell



Material: Al4CO4
Method: DFT, GGA-PBE
State: optimized geometry

```
data_Al4CO4
_cell_length_a 5.786
_cell_length_b 8.626
_cell_length_c 9.171
_cell_angle_alpha 90.00
_cell_angle_beta 90.00
_cell_angle_gamma 90.00
_symmetry_space_group_name_H-M 'C m c 21'
_symmetry_Int_Tables_number 36
_symmetry_space_group_name_Hall 'C 2c -2'
loop_
_atom_site_label
_atom_site_fract_x
_atom_site_fract_y
_atom_site_fract_z
Al1 0.000 0.063 0.000
Al2 0.000 0.398 0.080
Al3 0.229 0.337 0.790
C1 0.000 0.195 0.174
O1 0.000 0.196 0.845
O2 0.000 0.442 0.700
O3 0.244 0.065 0.466
```

Properties
Piezoelectric modulus e_max   0.68 C/m2
DFT total energy   -7.179 eV/atom
Energy relative to the elements   -2.595 eV per atom
V   457.73 Å³ per cell